Below is a relaxed Mn2SbN3 crystal, with properties calculated at the PBE level.

abc: 5.4075 5.4075 5.4197
angles: 90.00 90.00 66.96
Last column: nearest neighbours and their distance in Å.
Sites, in units of the cell vectors:
Mn 0.0515 0.3723 0.0000  3 N 1.76-1.87
Mn 0.3723 0.0515 0.5000  3 N 1.76-1.87
Mn 0.6277 0.9485 0.0000  3 N 1.76-1.87
Mn 0.9485 0.6277 0.5000  3 N 1.76-1.87
Sb 0.3739 0.6261 0.9242  2 N 2.20-2.24
Sb 0.6261 0.3739 0.4242  2 N 2.20-2.24
N 0.1291 0.3078 0.6720  3 Mn 1.76-1.87
N 0.2696 0.7304 0.5271  2 Mn 2.02, 2 Sb 2.20-2.24
N 0.3078 0.1291 0.1720  3 Mn 1.76-1.87
N 0.6922 0.8709 0.6720  3 Mn 1.76-1.87
N 0.7304 0.2696 0.0271  2 Mn 2.02, 2 Sb 2.20-2.24
N 0.8709 0.6922 0.1720  3 Mn 1.76-1.87

Results
total moment	0.00	μB per cell
E	-7.7460	eV/atom
space group	Cmc2_1